# MgFe3O7 (PBE+U, optimized geometry)
data_MgFe3O7
_cell_length_a 5.305
_cell_length_b 10.348
_cell_length_c 10.357
_cell_angle_alpha 90.00
_cell_angle_beta 90.00
_cell_angle_gamma 90.00
_space_group_name_H-M_alt 'P 1'
_space_group_IT_number 1
loop_
_space_group_symop_operation_xyz
'x,y,z'
loop_
_atom_site_label
_atom_site_type_symbol
_atom_site_fract_x
_atom_site_fract_y
_atom_site_fract_z
Mg1 Mg 0.342 0.092 0.250
Mg2 Mg 0.842 0.408 0.750
Mg3 Mg 0.658 0.908 0.750
Mg4 Mg 0.158 0.592 0.250
Fe1 Fe 0.700 0.682 0.973
Fe2 Fe 0.200 0.818 0.027
Fe3 Fe 0.300 0.318 0.473
Fe4 Fe 0.800 0.182 0.527
Fe5 Fe 0.685 0.775 0.250
Fe6 Fe 0.185 0.725 0.750
Fe7 Fe 0.315 0.225 0.750
Fe8 Fe 0.815 0.275 0.250
Fe9 Fe 0.200 0.818 0.473
Fe10 Fe 0.700 0.682 0.527
Fe11 Fe 0.800 0.182 0.973
Fe12 Fe 0.300 0.318 0.027
O1 O 0.061 0.282 0.877
O2 O 0.561 0.218 0.123
O3 O 0.939 0.718 0.377
O4 O 0.439 0.782 0.623
O5 O 0.939 0.718 0.123
O6 O 0.439 0.782 0.877
O7 O 0.061 0.282 0.623
O8 O 0.561 0.218 0.377
O9 O 0.549 0.292 0.881
O10 O 0.049 0.208 0.119
O11 O 0.451 0.708 0.381
O12 O 0.951 0.792 0.619
O13 O 0.451 0.708 0.119
O14 O 0.951 0.792 0.881
O15 O 0.549 0.292 0.619
O16 O 0.049 0.208 0.381
O17 O 0.879 0.449 0.250
O18 O 0.379 0.051 0.750
O19 O 0.121 0.551 0.750
O20 O 0.621 0.949 0.250
O21 O 0.755 0.027 0.603
O22 O 0.255 0.473 0.397
O23 O 0.245 0.973 0.103
O24 O 0.745 0.527 0.897
O25 O 0.245 0.973 0.397
O26 O 0.745 0.527 0.603
O27 O 0.755 0.027 0.897
O28 O 0.255 0.473 0.103
# E_form = -1.45 eV/atom
# symmetry = Pnma, No. 62
# magnetization = 48.000 μB/cell